[1]
## Na3YZnP2SO12 (PBE-GGA)

Data for Na3YZnP2SO12 after structural relaxation.

Energy with MP2020 corrections in eV/cell: -828.94

Lattice parameters (Å, degrees): 9.2188 9.2165 22.9345 88.63 90.00 120.01
Sites, in units of the cell vectors:
O: 0.3197 0.8512 0.2542
O: 0.9864 0.1846 0.5875
O: 0.8271 0.8103 0.5884
O: 0.0254 0.1947 0.9166
O: 0.1604 0.4770 0.2551
O: 0.6811 0.1220 0.0274
O: 0.3501 0.8773 0.8695
O: 0.2165 0.0307 0.3060
O: 0.7930 0.9871 0.6966
O: 0.3587 0.8614 0.5832
O: 0.9803 0.7870 0.8001
O: 0.3612 0.5065 0.0776
O: 0.4937 0.1436 0.9217
O: 0.1075 0.4553 0.8608
O: 0.1263 0.6537 0.3633
O: 0.5026 0.8614 0.0832
O: 0.4702 0.3316 0.4207
O: 0.6530 0.5179 0.9208
O: 0.9784 0.2007 0.3132
O: 0.6921 0.5280 0.2499
O: 0.8437 0.3285 0.2491
O: 0.5281 0.6649 0.2541
O: 0.6470 0.1203 0.1334
O: 0.4734 0.1203 0.6334
O: 0.1947 0.9982 0.5874
O: 0.8605 0.5440 0.0362
O: 0.1939 0.2107 0.7029
O: 0.8648 0.5179 0.4208
O: 0.0279 0.8399 0.4109
O: 0.5315 0.8512 0.7542
O: 0.0144 0.7886 0.6941
O: 0.4809 0.3641 0.1393
O: 0.5272 0.8773 0.3695
O: 0.4409 0.1220 0.5274
O: 0.1368 0.6649 0.7541
O: 0.7742 0.7886 0.1941
O: 0.9832 0.8103 0.0884
O: 0.3477 0.4553 0.3608
O: 0.8035 0.9982 0.0874
O: 0.8614 0.3316 0.9207
O: 0.0168 0.2107 0.2029
O: 0.2223 0.2007 0.8132
O: 0.8889 0.5340 0.1465
O: 0.1515 0.6619 0.0824
O: 0.1401 0.4537 0.9668
O: 0.8067 0.7870 0.3001
O: 0.6451 0.5340 0.6465
O: 0.3136 0.4537 0.4668
O: 0.8120 0.8399 0.9109
O: 0.8182 0.9952 0.4158
O: 0.5498 0.6974 0.9727
O: 0.5556 0.8674 0.4798
O: 0.4848 0.3285 0.7491
O: 0.8832 0.3641 0.6393
O: 0.3118 0.8674 0.9798
O: 0.1982 0.1846 0.0875
O: 0.4787 0.1732 0.2442
O: 0.8608 0.3204 0.5299
O: 0.5104 0.6619 0.5824
O: 0.1941 0.9871 0.1966
O: 0.6835 0.5440 0.5362
O: 0.8360 0.5280 0.7499
O: 0.1453 0.5065 0.5776
O: 0.1770 0.9952 0.9158
O: 0.1476 0.6974 0.4727
O: 0.6945 0.1732 0.7442
O: 0.4597 0.3204 0.0299
O: 0.6499 0.1436 0.4217
O: 0.5274 0.6537 0.8633
O: 0.1693 0.1947 0.4166
O: 0.3166 0.4770 0.7551
O: 0.8142 0.0307 0.8060
P: 0.3044 0.0120 0.2510
P: 0.0409 0.6786 0.4177
P: 0.9718 0.6331 0.0889
P: 0.3280 0.9664 0.9222
P: 0.6385 0.9664 0.4222
P: 0.6613 0.6331 0.5889
P: 0.9946 0.2998 0.2555
P: 0.7076 0.0120 0.7510
P: 0.3743 0.3453 0.0843
P: 0.3051 0.2998 0.7555
P: 0.9710 0.3453 0.5843
P: 0.6377 0.6786 0.9177
S: 0.3247 0.3611 0.4169
S: 0.6581 0.0277 0.0835
S: 0.7030 0.6944 0.2502
S: 0.3697 0.0277 0.5835
S: 0.9914 0.6944 0.7502
S: 0.0364 0.3611 0.9169
Na: 0.0041 0.9788 0.9908
Na: 0.6414 0.3122 0.8241
Na: 0.0236 0.6852 0.5768
Na: 0.9978 0.6281 0.2426
Na: 0.3569 0.3519 0.2435
Na: 0.2970 0.9614 0.0759
Na: 0.9636 0.2947 0.4093
Na: 0.9747 0.9788 0.4908
Na: 0.6303 0.6281 0.7426
Na: 0.6708 0.3122 0.3241
Na: 0.3311 0.2947 0.9093
Na: 0.3080 0.6455 0.1574
Na: 0.6644 0.9614 0.5759
Na: 0.6902 0.0185 0.9101
Na: 0.6616 0.6852 0.0768
Na: 0.9950 0.3519 0.7435
Na: 0.3283 0.0185 0.4101
Na: 0.3375 0.6455 0.6574
Y: 0.0043 0.0150 0.1503
Y: 0.3440 0.6817 0.3170
Y: 0.0107 0.0150 0.6503
Y: 0.6710 0.3483 0.4836
Y: 0.6774 0.3483 0.9836
Y: 0.3376 0.6817 0.8170
Zn: 0.6713 0.3258 0.1801
Zn: 0.9878 0.9924 0.3468
Zn: 0.3380 0.6591 0.5135
Zn: 0.0047 0.9924 0.8468
Zn: 0.6544 0.3258 0.6801
Zn: 0.3211 0.6591 0.0135

=====

[2]
## Sn4Au (PBE-GGA)

Data for Sn4Au after structural relaxation.

SG: Ccce (68)

Lattice parameters (Å, degrees): 6.8115 6.8115 6.6582 90.00 90.00 121.25
Sites, in units of the cell vectors:
Sn: 0.2866 0.0336 0.3333
Sn: 0.9664 0.7134 0.6667
Sn: 0.7134 0.9664 0.3333
Sn: 0.4664 0.2134 0.8333
Sn: 0.0336 0.2866 0.6667
Sn: 0.7866 0.5336 0.1667
Sn: 0.2134 0.4664 0.1667
Sn: 0.5336 0.7866 0.8333
Au: 0.0000 0.0000 0.0000
Au: 0.5000 0.5000 0.5000

=====

[3]
## Zr2BIr6 (PBE-GGA)

Data for Zr2BIr6 after structural relaxation.

SG: Fm-3m (225)
ΔE to the lowest computed polymorph in meV/atom: 0.0

Lattice parameters (Å, degrees): 5.7559 5.7559 5.7559 60.00 60.00 60.00
Sites, in units of the cell vectors:
Ir: 0.7418 0.2582 0.7418
Ir: 0.7418 0.2582 0.2582
Ir: 0.7418 0.7418 0.2582
Ir: 0.2582 0.7418 0.2582
Ir: 0.2582 0.7418 0.7418
Ir: 0.2582 0.2582 0.7418
Zr: 0.2500 0.2500 0.2500
Zr: 0.7500 0.7500 0.7500
B: 0.0000 0.0000 0.0000

=====

[4]
## Cs3Ge9H6N2 (PBE-GGA)

Data for Cs3Ge9H6N2 after structural relaxation.

Energy with MP2020 corrections in eV/cell: -344.37
SG: P2_1/c (14)

Lattice parameters (Å, degrees): 9.7538 14.9507 15.8918 90.00 92.85 90.00
Sites, in units of the cell vectors:
Ge: 0.2428 0.1443 0.0973
Ge: 0.7572 0.8557 0.9027
Ge: 0.4828 0.5737 0.4589
Ge: 0.4185 0.7901 0.4054
Ge: 0.1512 0.7951 0.9552
Ge: 0.9185 0.7099 0.9054
Ge: 0.6705 0.5742 0.3413
Ge: 0.8940 0.9668 0.8024
Ge: 0.5423 0.6275 0.2018
Ge: 0.5172 0.4263 0.5411
Ge: 0.1060 0.0332 0.1976
Ge: 0.4577 0.3725 0.7982
Ge: 0.3333 0.7127 0.2628
Ge: 0.8851 0.2590 0.1980
Ge: 0.9577 0.1275 0.2982
Ge: 0.1149 0.7410 0.8020
Ge: 0.8488 0.2049 0.0448
Ge: 0.0172 0.0737 0.0411
Ge: 0.1667 0.2127 0.2372
Ge: 0.8295 0.0742 0.1587
Ge: 0.9828 0.9263 0.9589
Ge: 0.1705 0.9258 0.8413
Ge: 0.3488 0.2951 0.5448
Ge: 0.5815 0.2099 0.5946
Ge: 0.2572 0.6443 0.4027
Ge: 0.3295 0.4258 0.6587
Ge: 0.6149 0.7590 0.3020
Ge: 0.3851 0.2410 0.6980
Ge: 0.8333 0.7873 0.7628
Ge: 0.7428 0.3557 0.5973
Ge: 0.0815 0.2901 0.0946
Ge: 0.6060 0.4668 0.6976
Ge: 0.6667 0.2873 0.7372
Ge: 0.3940 0.5332 0.3024
Ge: 0.0423 0.8725 0.7018
Ge: 0.6512 0.7049 0.4552
Cs: 0.5563 0.1058 0.8902
Cs: 0.7251 0.4492 0.9860
Cs: 0.4384 0.7326 0.6532
Cs: 0.5616 0.2674 0.3468
Cs: 0.9384 0.7674 0.1532
Cs: 0.4437 0.8942 0.1098
Cs: 0.7749 0.9492 0.5140
Cs: 0.0616 0.2326 0.8468
Cs: 0.9437 0.6058 0.6098
Cs: 0.2749 0.5508 0.0140
Cs: 0.2251 0.0508 0.4860
Cs: 0.0563 0.3942 0.3902
H: 0.9949 0.5148 0.8645
H: 0.0422 0.1875 0.6061
H: 0.1129 0.8506 0.4097
H: 0.6129 0.6494 0.9097
H: 0.0901 0.4676 0.7959
H: 0.9099 0.5324 0.2041
H: 0.5051 0.0148 0.6355
H: 0.5765 0.9531 0.7097
H: 0.9235 0.4531 0.7903
H: 0.5053 0.5966 0.8449
H: 0.9947 0.0966 0.6551
H: 0.4099 0.9676 0.7041
H: 0.4578 0.6875 0.8939
H: 0.0051 0.4852 0.1355
H: 0.4949 0.9852 0.3645
H: 0.8871 0.1494 0.5903
H: 0.3871 0.3506 0.0903
H: 0.9578 0.8125 0.3939
H: 0.0053 0.9034 0.3449
H: 0.4947 0.4034 0.1551
H: 0.5901 0.0324 0.2959
H: 0.4235 0.0469 0.2903
H: 0.5422 0.3125 0.1061
H: 0.0765 0.5469 0.2097
N: 0.0124 0.8708 0.4018
N: 0.4876 0.3708 0.0982
N: 0.4926 0.9561 0.6680
N: 0.9876 0.1292 0.5982
N: 0.5124 0.6292 0.9018
N: 0.0074 0.4561 0.8320
N: 0.9926 0.5439 0.1680
N: 0.5074 0.0439 0.3320

=====

The records above give, respectively, formation energy from the elements values of -52.12 -0.37 -7.32 -4.77 eV/f.u..